#P
DFT (PBE+U) results for a geometry-optimized Mn2HO4 structure.

Summary:
Total moment: 7.000 μB/f.u.
Space-group type: P1 (1)

a = 6.0654 Å, b = 10.1917 Å, c = 10.2125 Å
α = 89.99°, β = 89.95°, γ = 89.98°
Fractional coordinates of all 56 atoms:
Mn 0.0000 0.0000 0.0000
Mn 0.0007 0.3334 0.7036
Mn 0.2428 0.8332 0.2047
Mn 0.2444 0.5017 0.4999
Mn 0.2515 0.3145 0.0111
Mn 0.2543 0.0197 0.6931
Mn 0.4915 0.0068 0.9990
Mn 0.4931 0.3264 0.7044
Mn 0.4992 0.5191 0.1862
Mn 0.5015 0.8165 0.5176
Mn 0.7438 0.3151 0.0180
Mn 0.7460 0.0187 0.6863
Mn 0.7500 0.8266 0.2052
Mn 0.7523 0.5089 0.4996
Mn 0.9912 0.5198 0.1932
Mn 0.9928 0.8149 0.5125
H 0.0167 0.2474 0.2186
H 0.0222 0.0853 0.4848
H 0.2254 0.5885 0.9868
H 0.2450 0.7444 0.7148
H 0.5174 0.0364 0.2687
H 0.5171 0.3049 0.4287
H 0.7261 0.5323 0.7737
H 0.7288 0.8015 0.9296
O 0.0008 0.0000 0.8078
O 0.0085 0.3160 0.1521
O 0.0139 0.0177 0.5524
O 0.2337 0.5192 0.0528
O 0.2430 0.8151 0.6503
O 0.2448 0.5013 0.3080
O 0.2465 0.1245 0.0138
O 0.2466 0.8328 0.3965
O 0.2487 0.2082 0.6896
O 0.2517 0.8766 0.0120
O 0.2530 0.4569 0.6919
O 0.4915 0.3268 0.1414
O 0.4942 0.0076 0.5624
O 0.4958 0.0043 0.8120
O 0.4968 0.3292 0.8930
O 0.4969 0.7113 0.1889
O 0.4991 0.6247 0.5157
O 0.5085 0.9683 0.2018
O 0.5101 0.3685 0.5000
O 0.7343 0.4674 0.7037
O 0.7355 0.8672 0.9993
O 0.7455 0.1225 0.0161
O 0.7454 0.8330 0.3961
O 0.7470 0.2112 0.6865
O 0.7470 0.5049 0.3109
O 0.7518 0.5077 0.0631
O 0.7518 0.8261 0.6422
O 0.9908 0.9568 0.1919
O 0.9921 0.3784 0.5119
O 0.9946 0.7074 0.1929
O 0.9963 0.6270 0.5146
O 0.9982 0.3321 0.8959



#Q
DFT (PBE+U) results for a geometry-optimized Mn2HO4 structure.

Summary:
Total moment: 7.000 μB/f.u.
Space-group type: Cc (9)

a = 5.4723 Å, b = 5.4723 Å, c = 14.5650 Å
α = 91.03°, β = 91.03°, γ = 66.71°
Fractional coordinates of all 42 atoms:
Mn 0.1201 0.8799 0.5000
Mn 0.1327 0.8844 0.8063
Mn 0.1377 0.3885 0.6508
Mn 0.3749 0.6285 0.9993
Mn 0.3885 0.1377 0.1508
Mn 0.3948 0.6477 0.3002
Mn 0.6285 0.3749 0.4993
Mn 0.6308 0.8854 0.6519
Mn 0.6477 0.3948 0.8002
Mn 0.8799 0.1201 0.0000
Mn 0.8844 0.1327 0.3063
Mn 0.8854 0.6308 0.1519
H 0.1937 0.3938 0.8455
H 0.3938 0.1937 0.3455
H 0.5944 0.8452 0.4633
H 0.6476 0.9397 0.8384
H 0.8452 0.5944 0.9633
H 0.9397 0.6476 0.3384
O 0.0048 0.7453 0.0373
O 0.0141 0.2696 0.7639
O 0.0307 0.2730 0.1008
O 0.0369 0.7596 0.3606
O 0.2206 0.9709 0.9329
O 0.2462 0.4954 0.2017
O 0.2677 0.5171 0.5432
O 0.2696 0.0141 0.2639
O 0.2730 0.0307 0.6008
O 0.2919 0.5064 0.8658
O 0.4931 0.7398 0.4384
O 0.4954 0.2462 0.7017
O 0.5064 0.2919 0.3658
O 0.5121 0.7623 0.7644
O 0.5171 0.2677 0.0432
O 0.5203 0.7744 0.0983
O 0.7398 0.4931 0.9384
O 0.7453 0.0048 0.5373
O 0.7519 0.9975 0.2019
O 0.7596 0.0369 0.8606
O 0.7623 0.5121 0.2644
O 0.7744 0.5203 0.5983
O 0.9709 0.2206 0.4329
O 0.9975 0.7519 0.7019



Most stable structure: #Q



#P
DFT (PBE+U) results for a geometry-optimized MnPH7O7 structure.

Summary:
Total moment: 1.000 μB/f.u.
Space-group type: Pbca (61)

a = 10.0070 Å, b = 13.5246 Å, c = 10.8782 Å
α = 90.00°, β = 90.00°, γ = 90.00°
Fractional coordinates of all 128 atoms:
Mn 0.1260 0.1911 0.2240
Mn 0.1260 0.3089 0.7240
Mn 0.3740 0.6911 0.2240
Mn 0.3740 0.8089 0.7240
Mn 0.6260 0.1911 0.2760
Mn 0.6260 0.3089 0.7760
Mn 0.8740 0.6911 0.2760
Mn 0.8740 0.8089 0.7760
P 0.1346 0.5818 0.1049
P 0.1346 0.9182 0.6049
P 0.3654 0.0818 0.1049
P 0.3654 0.4182 0.6049
P 0.6347 0.5818 0.3951
P 0.6347 0.9182 0.8951
P 0.8654 0.0818 0.3951
P 0.8654 0.4182 0.8951
H 0.0188 0.1601 0.8573
H 0.0188 0.3399 0.3573
H 0.0328 0.1257 0.8041
H 0.0328 0.3743 0.3041
H 0.0524 0.5052 0.8922
H 0.0524 0.9948 0.3922
H 0.1724 0.1949 0.4785
H 0.1724 0.3051 0.9785
H 0.1943 0.6757 0.4008
H 0.1939 0.7314 0.6273
H 0.1939 0.7686 0.1273
H 0.1943 0.8243 0.9008
H 0.2473 0.0706 0.9304
H 0.2473 0.4294 0.4304
H 0.2527 0.5706 0.9304
H 0.2527 0.9294 0.4304
H 0.3057 0.1757 0.4008
H 0.3061 0.2314 0.6273
H 0.3061 0.2686 0.1273
H 0.3057 0.3243 0.9008
H 0.3276 0.6949 0.4785
H 0.3276 0.8051 0.9785
H 0.4476 0.0052 0.8922
H 0.4476 0.4948 0.3922
H 0.4672 0.6257 0.8041
H 0.4672 0.8743 0.3041
H 0.4812 0.6601 0.8573
H 0.4812 0.8399 0.3573
H 0.5188 0.1601 0.6427
H 0.5188 0.3399 0.1427
H 0.5328 0.1257 0.6959
H 0.5328 0.3743 0.1959
H 0.5524 0.5052 0.6078
H 0.5524 0.9948 0.1078
H 0.6724 0.1949 0.0215
H 0.6724 0.3051 0.5215
H 0.6943 0.6757 0.0992
H 0.6939 0.7314 0.8727
H 0.6939 0.7686 0.3727
H 0.6943 0.8243 0.5992
H 0.7473 0.0706 0.5696
H 0.7473 0.4294 0.0696
H 0.7527 0.5706 0.5696
H 0.7527 0.9294 0.0696
H 0.8057 0.1757 0.0992
H 0.8061 0.2314 0.8727
H 0.8061 0.2686 0.3727
H 0.8057 0.3243 0.5992
H 0.8276 0.6949 0.0215
H 0.8276 0.8051 0.5215
H 0.9476 0.0052 0.6078
H 0.9476 0.4948 0.1078
H 0.9672 0.6257 0.6959
H 0.9672 0.8743 0.1959
H 0.9812 0.6601 0.6427
H 0.9812 0.8399 0.1427
O 0.0011 0.6555 0.3625
O 0.0011 0.8445 0.8625
O 0.0350 0.0006 0.6512
O 0.0350 0.4994 0.1512
O 0.0680 0.6798 0.0798
O 0.0680 0.8202 0.5798
O 0.1880 0.5310 0.9768
O 0.1880 0.9690 0.4768
O 0.2151 0.2028 0.3967
O 0.2151 0.2972 0.8967
O 0.2174 0.2057 0.6544
O 0.2174 0.2943 0.1544
O 0.2502 0.0812 0.1970
O 0.2502 0.4188 0.6970
O 0.2498 0.5812 0.1970
O 0.2498 0.9188 0.6970
O 0.2826 0.7057 0.6544
O 0.2826 0.7943 0.1544
O 0.2849 0.7028 0.3967
O 0.2849 0.7972 0.8967
O 0.3120 0.0310 0.9768
O 0.3120 0.4690 0.4768
O 0.4320 0.1798 0.0798
O 0.4320 0.3202 0.5798
O 0.4650 0.5006 0.6512
O 0.4650 0.9994 0.1512
O 0.4989 0.1555 0.3625
O 0.4989 0.3445 0.8625
O 0.5011 0.6555 0.1375
O 0.5011 0.8445 0.6375
O 0.5350 0.0006 0.8488
O 0.5350 0.4994 0.3488
O 0.5680 0.6798 0.4202
O 0.5680 0.8202 0.9202
O 0.6880 0.5310 0.5232
O 0.6880 0.9690 0.0232
O 0.7151 0.2028 0.1033
O 0.7151 0.2972 0.6033
O 0.7174 0.2057 0.8456
O 0.7174 0.2943 0.3456
O 0.7502 0.0812 0.3030
O 0.7502 0.4188 0.8030
O 0.7498 0.5812 0.3030
O 0.7498 0.9188 0.8030
O 0.7826 0.7057 0.8456
O 0.7826 0.7943 0.3456
O 0.7849 0.7028 0.1033
O 0.7849 0.7972 0.6033
O 0.8120 0.0310 0.5232
O 0.8120 0.4690 0.0232
O 0.9320 0.1798 0.4202
O 0.9320 0.3202 0.9202
O 0.9650 0.5006 0.8488
O 0.9650 0.9994 0.3488
O 0.9989 0.1555 0.1375
O 0.9989 0.3445 0.6375



#Q
DFT (PBE+U) results for a geometry-optimized MnPH7O7 structure.

Summary:
Total moment: 5.032 μB/f.u.
Space-group type: Pbca (61)

a = 10.2886 Å, b = 10.5629 Å, c = 10.9579 Å
α = 90.00°, β = 90.00°, γ = 90.00°
Fractional coordinates of all 128 atoms:
Mn 0.0905 0.1985 0.2489
Mn 0.0905 0.3015 0.7489
Mn 0.4095 0.6985 0.2489
Mn 0.4095 0.8015 0.7489
Mn 0.5905 0.1985 0.2511
Mn 0.5905 0.3015 0.7511
Mn 0.9095 0.6985 0.2511
Mn 0.9095 0.8015 0.7511
P 0.1503 0.5051 0.1337
P 0.1503 0.9949 0.6337
P 0.3497 0.0051 0.1337
P 0.3497 0.4949 0.6337
P 0.6503 0.5051 0.3663
P 0.6503 0.9949 0.8663
P 0.8497 0.0051 0.3663
P 0.8497 0.4949 0.8663
H 0.0235 0.6499 0.4957
H 0.0235 0.8501 0.9957
H 0.0449 0.5843 0.7163
H 0.0449 0.9157 0.2163
H 0.1050 0.5118 0.9345
H 0.1050 0.9882 0.4345
H 0.1231 0.6331 0.3877
H 0.1231 0.8669 0.8877
H 0.1562 0.6743 0.6719
H 0.1562 0.8257 0.1719
H 0.1802 0.2039 0.4988
H 0.1802 0.2961 0.9988
H 0.2359 0.1713 0.9387
H 0.2359 0.3287 0.4387
H 0.2641 0.6713 0.9387
H 0.2641 0.8287 0.4387
H 0.3198 0.7039 0.4988
H 0.3198 0.7961 0.9988
H 0.3438 0.1743 0.6719
H 0.3438 0.3257 0.1719
H 0.3769 0.1331 0.3877
H 0.3769 0.3669 0.8877
H 0.3950 0.0118 0.9345
H 0.3950 0.4882 0.4345
H 0.4551 0.0843 0.7163
H 0.4551 0.4157 0.2163
H 0.4765 0.1499 0.4957
H 0.4765 0.3501 0.9957
H 0.5235 0.6499 0.0043
H 0.5235 0.8501 0.5043
H 0.5449 0.5843 0.7837
H 0.5449 0.9157 0.2837
H 0.6050 0.5118 0.5655
H 0.6050 0.9882 0.0655
H 0.6231 0.6331 0.1123
H 0.6231 0.8669 0.6123
H 0.6562 0.6743 0.8281
H 0.6562 0.8257 0.3281
H 0.6802 0.2039 0.0012
H 0.6802 0.2961 0.5012
H 0.7359 0.1713 0.5613
H 0.7359 0.3287 0.0613
H 0.7641 0.6713 0.5613
H 0.7641 0.8287 0.0613
H 0.8198 0.7039 0.0012
H 0.8198 0.7961 0.5012
H 0.8438 0.1743 0.8281
H 0.8438 0.3257 0.3281
H 0.8769 0.1331 0.1123
H 0.8769 0.3669 0.6123
H 0.8950 0.0118 0.5655
H 0.8950 0.4882 0.0655
H 0.9551 0.0843 0.7837
H 0.9551 0.4157 0.2837
H 0.9765 0.1499 0.0043
H 0.9765 0.3501 0.5043
O 0.0050 0.5352 0.1601
O 0.0050 0.9648 0.6601
O 0.0301 0.6351 0.4070
O 0.0301 0.8649 0.9070
O 0.0600 0.6656 0.6742
O 0.0600 0.8344 0.1742
O 0.1736 0.1395 0.6472
O 0.1736 0.3605 0.1472
O 0.1771 0.5394 0.9922
O 0.1771 0.9606 0.4922
O 0.1957 0.2461 0.4188
O 0.1957 0.2539 0.9188
O 0.2437 0.5849 0.2072
O 0.2437 0.9151 0.7072
O 0.2563 0.0849 0.2072
O 0.2563 0.4151 0.7072
O 0.3043 0.7461 0.4188
O 0.3043 0.7539 0.9188
O 0.3229 0.0394 0.9922
O 0.3229 0.4606 0.4922
O 0.3264 0.6395 0.6472
O 0.3264 0.8605 0.1472
O 0.4400 0.1656 0.6742
O 0.4400 0.3344 0.1742
O 0.4699 0.1351 0.4070
O 0.4699 0.3649 0.9070
O 0.4950 0.0352 0.1601
O 0.4950 0.4648 0.6601
O 0.5050 0.5352 0.3399
O 0.5050 0.9648 0.8399
O 0.5301 0.6351 0.0930
O 0.5301 0.8649 0.5930
O 0.5600 0.6656 0.8258
O 0.5600 0.8344 0.3258
O 0.6736 0.1395 0.8528
O 0.6736 0.3605 0.3528
O 0.6771 0.5394 0.5078
O 0.6771 0.9606 0.0078
O 0.6957 0.2461 0.0812
O 0.6957 0.2539 0.5812
O 0.7437 0.5849 0.2928
O 0.7437 0.9151 0.7928
O 0.7563 0.0849 0.2928
O 0.7563 0.4151 0.7928
O 0.8043 0.7461 0.0812
O 0.8043 0.7539 0.5812
O 0.8229 0.0394 0.5078
O 0.8229 0.4606 0.0078
O 0.8264 0.6395 0.8528
O 0.8264 0.8605 0.3528
O 0.9400 0.1656 0.8258
O 0.9400 0.3344 0.3258
O 0.9699 0.1351 0.0930
O 0.9699 0.3649 0.5930
O 0.9950 0.0352 0.3399
O 0.9950 0.4648 0.8399



Most stable structure: #Q